The following is a DFT calculation (PBE) of a geometry-optimized NaBH8O2 structure.

The structure in extended XYZ format:
```
96
Lattice="6.893 0.000 0.000 0.000 12.068 0.000 0.000 0.000 10.320" Properties=species:S:1:pos:R:3 pbc="T T T"
Na 0.327 0.147 1.761
Na 0.327 5.887 6.922
Na 3.120 6.180 1.761
Na 3.120 11.921 6.922
Na 3.774 0.147 3.399
Na 3.774 5.887 8.559
Na 6.567 6.180 3.399
Na 6.567 11.921 8.559
B 0.674 7.843 1.159
B 0.674 10.258 6.319
B 2.773 1.809 1.159
B 2.773 4.225 6.319
B 4.120 7.843 4.001
B 4.120 10.258 9.161
B 6.220 1.809 4.001
B 6.220 4.225 9.161
H 0.114 8.358 2.117
H 0.114 9.743 7.277
H 0.130 8.246 0.119
H 0.130 9.855 5.279
H 0.569 6.622 1.180
H 0.569 11.479 6.341
H 0.730 8.223 5.261
H 0.730 9.878 0.101
H 1.334 7.526 9.229
H 1.334 10.575 4.069
H 1.466 1.350 4.905
H 1.466 4.684 10.065
H 1.593 2.139 1.135
H 1.593 3.894 6.295
H 1.607 2.143 7.917
H 1.607 3.891 2.757
H 1.839 8.177 7.917
H 1.839 9.925 2.757
H 1.854 8.173 1.135
H 1.854 9.928 6.295
H 1.981 7.384 4.905
H 1.981 10.718 10.065
H 2.113 1.492 9.229
H 2.113 4.541 4.069
H 2.716 2.190 5.261
H 2.716 3.844 0.101
H 2.878 0.589 1.180
H 2.878 5.445 6.341
H 3.317 2.212 0.119
H 3.317 3.822 5.279
H 3.333 2.324 2.117
H 3.333 3.710 7.277
H 3.561 8.358 3.043
H 3.561 9.743 8.204
H 3.577 8.246 5.041
H 3.577 9.855 10.202
H 4.016 6.622 3.980
H 4.016 11.479 9.140
H 4.177 8.223 10.219
H 4.177 9.878 5.059
H 4.781 7.526 6.251
H 4.781 10.575 1.091
H 4.912 1.350 0.255
H 4.912 4.684 5.415
H 5.040 2.139 4.025
H 5.040 3.894 9.185
H 5.054 2.143 7.563
H 5.054 3.891 2.403
H 5.286 8.177 7.563
H 5.286 9.925 2.403
H 5.301 8.173 4.025
H 5.301 9.928 9.185
H 5.428 7.384 0.255
H 5.428 10.718 5.415
H 5.559 1.492 6.251
H 5.559 4.541 1.091
H 6.163 2.190 10.219
H 6.163 3.844 5.059
H 6.325 0.589 3.980
H 6.325 5.445 9.140
H 6.764 2.212 5.041
H 6.764 3.822 10.202
H 6.780 2.324 3.043
H 6.780 3.710 8.204
O 1.015 7.300 5.065
O 1.015 10.801 10.225
O 1.719 1.274 8.354
O 1.719 4.760 3.194
O 1.728 7.308 8.354
O 1.728 10.793 3.194
O 2.432 1.267 5.065
O 2.432 4.767 10.225
O 4.461 7.300 0.095
O 4.461 10.801 5.255
O 5.166 1.274 7.127
O 5.166 4.760 1.966
O 5.175 7.308 7.127
O 5.175 10.793 1.966
O 5.879 1.267 0.095
O 5.879 4.767 5.255
```

Output
Raw total energy (eV for the cell shown): -424.233